No. 1
Density functional theory data (PBE-GGA) for a relaxed structure of Na14In8Si7S5O48.

The structure in CIF format:
```
data_Na14In8Si7S5O48
_chemical_formula_sum 'Na42 In24 Si21 S15 O144'
_space_group_name_H-M_alt 'P 1'
_space_group_IT_number 1
_cell_length_a 18.518
_cell_length_b 9.275
_cell_length_c 22.684
_cell_angle_alpha 89.92
_cell_angle_beta 89.69
_cell_angle_gamma 120.10
loop_
_space_group_symop_operation_xyz
'x,y,z'
loop_
_atom_site_label
_atom_site_type_symbol
_atom_site_fract_x
_atom_site_fract_y
_atom_site_fract_z
Na1 Na 0.811 0.988 0.238
Na2 Na 0.187 0.364 0.260
Na3 Na 0.690 0.367 0.257
Na4 Na 0.998 0.647 0.239
Na5 Na 0.501 0.649 0.241
Na6 Na 0.310 0.635 0.754
Na7 Na 0.998 0.349 0.747
Na8 Na 0.501 0.354 0.748
Na9 Na 0.187 0.009 0.763
Na10 Na 0.690 0.015 0.765
Na11 Na 0.141 0.332 0.583
Na12 Na 0.643 0.335 0.585
Na13 Na 0.339 0.976 0.579
Na14 Na 0.839 0.977 0.582
Na15 Na 0.141 0.951 0.086
Na16 Na 0.652 0.955 0.087
Na17 Na 0.339 0.700 0.082
Na18 Na 0.839 0.715 0.078
Na19 Na 0.488 0.686 0.929
Na20 Na 0.981 0.682 0.931
Na21 Na 0.344 0.018 0.912
Na22 Na 0.841 0.018 0.922
Na23 Na 0.171 0.298 0.907
Na24 Na 0.676 0.305 0.907
Na25 Na 0.483 0.282 0.423
Na26 Na 0.984 0.283 0.423
Na27 Na 0.173 0.042 0.400
Na28 Na 0.673 0.045 0.401
Na29 Na 0.341 0.666 0.405
Na30 Na 0.843 0.668 0.407
Na31 Na 0.998 0.016 0.496
Na32 Na 0.499 0.016 0.496
Na33 Na 0.989 0.984 0.003
Na34 Na 0.502 0.984 0.998
Na35 Na 0.323 0.322 0.835
Na36 Na 0.820 0.332 0.834
Na37 Na 0.321 0.308 0.327
Na38 Na 0.823 0.324 0.329
Na39 Na 0.165 0.679 0.171
Na40 Na 0.667 0.680 0.163
Na41 Na 0.157 0.651 0.670
Na42 Na 0.669 0.654 0.674
In1 In 0.000 0.996 0.347
In2 In 0.498 0.999 0.348
In3 In 0.999 0.998 0.848
In4 In 0.501 0.004 0.849
In5 In 0.998 0.017 0.654
In6 In 0.500 0.021 0.654
In7 In 0.995 0.984 0.149
In8 In 0.500 0.981 0.153
In9 In 0.336 0.329 0.684
In10 In 0.836 0.333 0.685
In11 In 0.335 0.338 0.185
In12 In 0.836 0.336 0.181
In13 In 0.334 0.338 0.983
In14 In 0.834 0.328 0.987
In15 In 0.332 0.328 0.483
In16 In 0.833 0.328 0.484
In17 In 0.165 0.673 0.014
In18 In 0.671 0.688 0.017
In19 In 0.165 0.655 0.513
In20 In 0.665 0.655 0.514
In21 In 0.182 0.689 0.314
In22 In 0.676 0.675 0.318
In23 In 0.175 0.676 0.819
In24 In 0.685 0.676 0.817
Si1 Si 0.150 0.000 0.248
Si2 Si 0.652 0.999 0.252
Si3 Si 0.349 0.696 0.249
Si4 Si 0.849 0.695 0.251
Si5 Si 0.152 0.305 0.749
Si6 Si 0.653 0.308 0.749
Si7 Si 0.348 0.997 0.749
Si8 Si 0.849 0.001 0.748
Si9 Si 0.486 0.341 0.583
Si10 Si 0.985 0.341 0.583
Si11 Si 0.484 0.631 0.083
Si12 Si 0.987 0.631 0.083
Si13 Si 0.837 0.036 0.084
Si14 Si 0.317 0.665 0.918
Si15 Si 0.817 0.660 0.921
Si16 Si 0.166 0.971 0.916
Si17 Si 0.665 0.967 0.914
Si18 Si 0.316 0.966 0.422
Si19 Si 0.817 0.967 0.420
Si20 Si 0.166 0.364 0.417
Si21 Si 0.665 0.360 0.418
S1 S 0.000 0.299 0.252
S2 S 0.500 0.297 0.251
S3 S 0.001 0.705 0.749
S4 S 0.498 0.705 0.748
S5 S 0.179 0.029 0.585
S6 S 0.680 0.029 0.584
S7 S 0.336 0.634 0.584
S8 S 0.836 0.633 0.583
S9 S 0.336 0.039 0.082
S10 S 0.183 0.336 0.083
S11 S 0.677 0.328 0.084
S12 S 0.020 0.372 0.914
S13 S 0.520 0.375 0.916
S14 S 0.019 0.667 0.416
S15 S 0.518 0.667 0.417
O1 O 0.112 0.041 0.308
O2 O 0.610 0.036 0.310
O3 O 0.403 0.786 0.309
O4 O 0.903 0.775 0.312
O5 O 0.490 0.208 0.308
O6 O 0.989 0.204 0.308
O7 O 0.112 0.180 0.805
O8 O 0.611 0.182 0.806
O9 O 0.486 0.777 0.804
O10 O 0.993 0.777 0.806
O11 O 0.406 0.025 0.807
O12 O 0.908 0.025 0.805
O13 O 0.386 0.955 0.690
O14 O 0.885 0.968 0.686
O15 O 0.102 0.225 0.687
O16 O 0.600 0.231 0.687
O17 O 0.012 0.814 0.698
O18 O 0.510 0.813 0.697
O19 O 0.388 0.806 0.189
O20 O 0.890 0.819 0.195
O21 O 0.013 0.214 0.201
O22 O 0.510 0.207 0.200
O23 O 0.094 0.979 0.189
O24 O 0.598 0.974 0.191
O25 O 0.442 0.355 0.644
O26 O 0.942 0.357 0.644
O27 O 0.232 0.111 0.638
O28 O 0.732 0.113 0.636
O29 O 0.326 0.530 0.637
O30 O 0.825 0.523 0.633
O31 O 0.439 0.527 0.144
O32 O 0.944 0.534 0.145
O33 O 0.324 0.126 0.133
O34 O 0.819 0.120 0.142
O35 O 0.237 0.359 0.135
O36 O 0.729 0.352 0.138
O37 O 0.220 0.304 0.029
O38 O 0.716 0.299 0.031
O39 O 0.425 0.546 0.025
O40 O 0.930 0.543 0.025
O41 O 0.341 0.126 0.026
O42 O 0.841 0.130 0.021
O43 O 0.217 0.137 0.531
O44 O 0.716 0.136 0.530
O45 O 0.340 0.550 0.529
O46 O 0.841 0.555 0.526
O47 O 0.427 0.313 0.525
O48 O 0.928 0.312 0.525
O49 O 0.271 0.690 0.977
O50 O 0.776 0.691 0.981
O51 O 0.072 0.453 0.966
O52 O 0.572 0.460 0.968
O53 O 0.147 0.854 0.975
O54 O 0.642 0.848 0.973
O55 O 0.277 0.860 0.484
O56 O 0.774 0.856 0.480
O57 O 0.146 0.433 0.478
O58 O 0.645 0.433 0.478
O59 O 0.070 0.690 0.470
O60 O 0.570 0.690 0.469
O61 O 0.057 0.642 0.363
O62 O 0.556 0.641 0.362
O63 O 0.247 0.883 0.370
O64 O 0.755 0.889 0.363
O65 O 0.180 0.484 0.360
O66 O 0.679 0.476 0.360
O67 O 0.059 0.470 0.859
O68 O 0.556 0.470 0.861
O69 O 0.181 0.888 0.857
O70 O 0.675 0.875 0.856
O71 O 0.259 0.624 0.859
O72 O 0.752 0.602 0.866
O73 O 0.011 0.819 0.414
O74 O 0.510 0.818 0.413
O75 O 0.406 0.974 0.415
O76 O 0.908 0.978 0.414
O77 O 0.085 0.173 0.412
O78 O 0.584 0.171 0.413
O79 O 0.011 0.204 0.911
O80 O 0.511 0.205 0.914
O81 O 0.085 0.999 0.912
O82 O 0.583 0.995 0.911
O83 O 0.408 0.840 0.914
O84 O 0.908 0.836 0.913
O85 O 0.492 0.165 0.583
O86 O 0.993 0.167 0.583
O87 O 0.095 0.006 0.590
O88 O 0.595 0.006 0.590
O89 O 0.412 0.801 0.586
O90 O 0.912 0.800 0.586
O91 O 0.492 0.820 0.083
O92 O 0.998 0.820 0.082
O93 O 0.412 0.026 0.087
O94 O 0.920 0.017 0.086
O95 O 0.099 0.189 0.089
O96 O 0.593 0.176 0.090
O97 O 0.343 0.170 0.748
O98 O 0.846 0.178 0.749
O99 O 0.249 0.338 0.744
O100 O 0.745 0.323 0.743
O101 O 0.420 0.539 0.744
O102 O 0.927 0.536 0.745
O103 O 0.347 0.515 0.250
O104 O 0.843 0.511 0.247
O105 O 0.426 0.318 0.246
O106 O 0.924 0.311 0.248
O107 O 0.243 0.167 0.242
O108 O 0.747 0.162 0.248
O109 O 0.330 0.503 0.920
O110 O 0.833 0.501 0.925
O111 O 0.434 0.351 0.921
O112 O 0.936 0.356 0.918
O113 O 0.254 0.153 0.922
O114 O 0.751 0.150 0.918
O115 O 0.333 0.159 0.422
O116 O 0.831 0.158 0.421
O117 O 0.254 0.357 0.421
O118 O 0.754 0.355 0.422
O119 O 0.433 0.518 0.422
O120 O 0.933 0.518 0.422
O121 O 0.181 0.493 0.078
O122 O 0.671 0.480 0.079
O123 O 0.083 0.657 0.082
O124 O 0.578 0.657 0.081
O125 O 0.261 0.867 0.083
O126 O 0.753 0.846 0.085
O127 O 0.177 0.866 0.579
O128 O 0.677 0.867 0.578
O129 O 0.260 0.652 0.584
O130 O 0.760 0.653 0.583
O131 O 0.081 0.504 0.581
O132 O 0.581 0.502 0.581
O133 O 0.146 0.819 0.253
O134 O 0.653 0.822 0.256
O135 O 0.251 0.652 0.249
O136 O 0.753 0.664 0.253
O137 O 0.075 0.469 0.256
O138 O 0.576 0.466 0.252
O139 O 0.153 0.483 0.755
O140 O 0.649 0.480 0.755
O141 O 0.077 0.688 0.751
O142 O 0.571 0.680 0.751
O143 O 0.253 0.837 0.751
O144 O 0.751 0.849 0.750
```

Values from the calculation:
E_form ... -2.3289 eV/atom

No. 2
Density functional theory data (PBE-GGA) for a relaxed structure of Na2In4Si3Sn4S9O48.

The structure in CIF format:
```
data_Na2In4Si3Sn4S9O48
_chemical_formula_sum 'Na6 In12 Si9 Sn12 S27 O144'
_space_group_name_H-M_alt 'P 1'
_space_group_IT_number 1
_cell_length_a 17.706
_cell_length_b 8.869
_cell_length_c 23.250
_cell_angle_alpha 89.77
_cell_angle_beta 89.77
_cell_angle_gamma 120.13
loop_
_space_group_symop_operation_xyz
'x,y,z'
loop_
_atom_site_label
_atom_site_type_symbol
_atom_site_fract_x
_atom_site_fract_y
_atom_site_fract_z
Na1 Na 0.992 0.014 0.502
Na2 Na 0.495 0.978 0.006
Na3 Na 0.326 0.314 0.842
Na4 Na 0.823 0.329 0.830
Na5 Na 0.327 0.321 0.328
Na6 Na 0.813 0.320 0.335
In1 In 0.006 0.002 0.349
In2 In 0.506 0.010 0.850
In3 In 0.000 0.014 0.647
In4 In 0.503 0.979 0.150
In5 In 0.328 0.327 0.984
In6 In 0.838 0.338 0.986
In7 In 0.338 0.334 0.483
In8 In 0.828 0.328 0.481
In9 In 0.163 0.672 0.307
In10 In 0.668 0.662 0.312
In11 In 0.169 0.682 0.816
In12 In 0.662 0.653 0.808
Si1 Si 0.153 0.015 0.250
Si2 Si 0.653 0.002 0.250
Si3 Si 0.653 0.292 0.750
Si4 Si 0.481 0.334 0.583
Si5 Si 0.978 0.336 0.581
Si6 Si 0.476 0.623 0.079
Si7 Si 0.977 0.624 0.084
Si8 Si 0.171 0.968 0.915
Si9 Si 0.669 0.376 0.414
Sn1 Sn 0.514 0.022 0.353
Sn2 Sn 0.004 0.994 0.856
Sn3 Sn 0.505 0.020 0.646
Sn4 Sn 0.005 0.991 0.147
Sn5 Sn 0.336 0.336 0.680
Sn6 Sn 0.833 0.333 0.681
Sn7 Sn 0.335 0.337 0.183
Sn8 Sn 0.831 0.328 0.184
Sn9 Sn 0.159 0.675 0.023
Sn10 Sn 0.663 0.666 0.023
Sn11 Sn 0.164 0.663 0.520
Sn12 Sn 0.660 0.649 0.518
S1 S 0.357 0.707 0.255
S2 S 0.855 0.705 0.248
S3 S 0.997 0.285 0.248
S4 S 0.495 0.282 0.249
S5 S 0.152 0.299 0.750
S6 S 0.998 0.709 0.749
S7 S 0.492 0.703 0.748
S8 S 0.351 0.002 0.748
S9 S 0.859 0.009 0.755
S10 S 0.186 0.038 0.582
S11 S 0.683 0.026 0.583
S12 S 0.333 0.632 0.585
S13 S 0.833 0.633 0.583
S14 S 0.334 0.033 0.084
S15 S 0.835 0.033 0.084
S16 S 0.183 0.340 0.083
S17 S 0.685 0.335 0.080
S18 S 0.315 0.674 0.916
S19 S 0.810 0.667 0.917
S20 S 0.018 0.366 0.914
S21 S 0.522 0.373 0.918
S22 S 0.669 0.959 0.917
S23 S 0.311 0.951 0.417
S24 S 0.817 0.957 0.418
S25 S 0.168 0.376 0.418
S26 S 0.023 0.672 0.418
S27 S 0.516 0.670 0.415
O1 O 0.119 0.062 0.309
O2 O 0.613 0.048 0.308
O3 O 0.412 0.795 0.306
O4 O 0.906 0.780 0.301
O5 O 0.475 0.169 0.302
O6 O 0.978 0.177 0.302
O7 O 0.113 0.184 0.802
O8 O 0.619 0.174 0.809
O9 O 0.475 0.775 0.801
O10 O 0.982 0.787 0.802
O11 O 0.403 0.034 0.801
O12 O 0.916 0.035 0.807
O13 O 0.396 0.985 0.696
O14 O 0.896 0.975 0.703
O15 O 0.101 0.221 0.698
O16 O 0.593 0.198 0.694
O17 O 0.010 0.817 0.698
O18 O 0.499 0.804 0.696
O19 O 0.390 0.810 0.201
O20 O 0.898 0.819 0.197
O21 O 0.003 0.196 0.196
O22 O 0.500 0.195 0.197
O23 O 0.094 0.991 0.194
O24 O 0.601 0.981 0.191
O25 O 0.441 0.374 0.642
O26 O 0.937 0.364 0.642
O27 O 0.238 0.118 0.636
O28 O 0.737 0.103 0.636
O29 O 0.308 0.510 0.637
O30 O 0.815 0.522 0.636
O31 O 0.434 0.508 0.139
O32 O 0.930 0.495 0.140
O33 O 0.315 0.112 0.134
O34 O 0.811 0.108 0.133
O35 O 0.238 0.368 0.135
O36 O 0.737 0.356 0.132
O37 O 0.215 0.291 0.032
O38 O 0.720 0.295 0.028
O39 O 0.420 0.537 0.022
O40 O 0.924 0.553 0.025
O41 O 0.346 0.133 0.030
O42 O 0.850 0.134 0.030
O43 O 0.222 0.152 0.531
O44 O 0.717 0.143 0.534
O45 O 0.348 0.556 0.534
O46 O 0.845 0.552 0.532
O47 O 0.420 0.293 0.528
O48 O 0.918 0.304 0.526
O49 O 0.270 0.688 0.968
O50 O 0.770 0.689 0.970
O51 O 0.071 0.444 0.966
O52 O 0.578 0.457 0.969
O53 O 0.155 0.845 0.971
O54 O 0.662 0.857 0.970
O55 O 0.272 0.850 0.472
O56 O 0.773 0.857 0.472
O57 O 0.160 0.462 0.472
O58 O 0.657 0.461 0.474
O59 O 0.078 0.702 0.471
O60 O 0.568 0.697 0.469
O61 O 0.065 0.653 0.366
O62 O 0.558 0.645 0.365
O63 O 0.254 0.863 0.368
O64 O 0.767 0.874 0.367
O65 O 0.177 0.478 0.366
O66 O 0.685 0.490 0.357
O67 O 0.057 0.469 0.861
O68 O 0.562 0.476 0.865
O69 O 0.188 0.899 0.855
O70 O 0.678 0.878 0.864
O71 O 0.264 0.651 0.863
O72 O 0.758 0.647 0.866
O73 O 0.014 0.831 0.415
O74 O 0.504 0.824 0.410
O75 O 0.397 0.965 0.410
O76 O 0.905 0.968 0.416
O77 O 0.087 0.203 0.418
O78 O 0.575 0.190 0.413
O79 O 0.007 0.189 0.908
O80 O 0.514 0.198 0.915
O81 O 0.079 0.975 0.911
O82 O 0.587 0.968 0.917
O83 O 0.402 0.840 0.912
O84 O 0.898 0.830 0.911
O85 O 0.486 0.156 0.590
O86 O 0.993 0.168 0.586
O87 O 0.096 0.001 0.590
O88 O 0.591 0.983 0.594
O89 O 0.413 0.798 0.598
O90 O 0.914 0.803 0.590
O91 O 0.486 0.815 0.082
O92 O 0.986 0.815 0.091
O93 O 0.414 0.025 0.092
O94 O 0.914 0.025 0.095
O95 O 0.091 0.199 0.093
O96 O 0.594 0.196 0.086
O97 O 0.339 0.158 0.742
O98 O 0.856 0.173 0.750
O99 O 0.241 0.313 0.744
O100 O 0.750 0.307 0.741
O101 O 0.412 0.522 0.744
O102 O 0.918 0.535 0.745
O103 O 0.355 0.537 0.250
O104 O 0.851 0.534 0.242
O105 O 0.415 0.303 0.246
O106 O 0.921 0.313 0.243
O107 O 0.249 0.195 0.241
O108 O 0.750 0.187 0.245
O109 O 0.328 0.523 0.919
O110 O 0.820 0.511 0.920
O111 O 0.436 0.357 0.922
O112 O 0.929 0.344 0.918
O113 O 0.254 0.163 0.921
O114 O 0.747 0.136 0.922
O115 O 0.319 0.126 0.421
O116 O 0.830 0.134 0.421
O117 O 0.247 0.357 0.423
O118 O 0.754 0.349 0.419
O119 O 0.427 0.512 0.420
O120 O 0.937 0.515 0.423
O121 O 0.183 0.505 0.073
O122 O 0.689 0.506 0.073
O123 O 0.071 0.630 0.081
O124 O 0.573 0.639 0.077
O125 O 0.258 0.852 0.078
O126 O 0.759 0.853 0.077
O127 O 0.187 0.873 0.575
O128 O 0.682 0.860 0.574
O129 O 0.259 0.663 0.578
O130 O 0.758 0.663 0.577
O131 O 0.076 0.514 0.576
O132 O 0.575 0.513 0.578
O133 O 0.162 0.845 0.253
O134 O 0.666 0.839 0.260
O135 O 0.267 0.670 0.263
O136 O 0.768 0.682 0.250
O137 O 0.078 0.452 0.253
O138 O 0.572 0.451 0.255
O139 O 0.164 0.473 0.759
O140 O 0.664 0.483 0.753
O141 O 0.075 0.689 0.756
O142 O 0.571 0.690 0.753
O143 O 0.265 0.843 0.750
O144 O 0.771 0.861 0.764
```

Values from the calculation:
E_form ... -2.0518 eV/atom

Number 1: size of the total moment 0.002 μB per formula unit, energy with MP2020 corrections -6.43 eV/atom. Number 2: size of the total moment 0.003 μB per formula unit, energy with MP2020 corrections -6.63 eV/atom.